Entry 1:
Computed, not measured: a relaxed structure of ThSe2O7 at the PBE-GGA level of DFT.

Computed properties:
Its calculated formation energy is -21.5 eV/f.u. As for the total energy: -6.5756 eV per atom.

Cell lengths 7.1416, 9.6674, 9.1659 Å; angles 90.00, 103.27, 90.00 degrees
With the nearest neighbours (Å) after each atom.
Atoms (fractional coordinates):
Th 0.2078 0.0396 0.3658  8 O 2.35-2.59
Th 0.2078 0.4604 0.8658  8 O 2.35-2.59
Th 0.7922 0.5396 0.1342  8 O 2.35-2.59
Th 0.7922 0.9604 0.6342  8 O 2.35-2.59
Se 0.1209 0.6821 0.5175  4 O 1.66-1.68
Se 0.1209 0.8179 0.0175  4 O 1.66-1.68
Se 0.3278 0.0959 0.7486  3 O 1.72-1.77
Se 0.3278 0.4041 0.2486  3 O 1.72-1.77
Se 0.6722 0.5959 0.7514  3 O 1.72-1.77
Se 0.6722 0.9041 0.2514  3 O 1.72-1.77
Se 0.8791 0.1821 0.9825  4 O 1.66-1.68
Se 0.8791 0.3179 0.4825  4 O 1.66-1.68
O 0.0464 0.5856 0.3651  1 Se 1.66
O 0.0464 0.9144 0.8651  1 Se 1.66
O 0.0599 0.2352 0.9076  1 Se 1.68
O 0.0599 0.2648 0.4076  1 Se 1.68
O 0.1040 0.0596 0.6250  1 Se 1.77
O 0.1040 0.4404 0.1250  1 Se 1.77
O 0.2542 0.6898 0.9750  1 Se 1.66
O 0.2542 0.8102 0.4750  1 Se 1.66
O 0.2691 0.5874 0.6483  1 Se 1.68
O 0.2691 0.9126 0.1483  1 Se 1.68
O 0.3369 0.2268 0.2571  1 Se 1.72
O 0.3369 0.2732 0.7571  1 Se 1.72
O 0.4494 0.0608 0.6072  1 Se 1.75
O 0.4494 0.4392 0.1072  1 Se 1.75
O 0.5506 0.5608 0.8928  1 Se 1.75
O 0.5506 0.9392 0.3928  1 Se 1.75
O 0.6631 0.7268 0.2429  1 Se 1.72
O 0.6631 0.7732 0.7429  1 Se 1.72
O 0.7309 0.0874 0.8517  1 Se 1.68
O 0.7309 0.4126 0.3517  1 Se 1.68
O 0.7458 0.1898 0.5250  1 Se 1.66
O 0.7458 0.3102 0.0250  1 Se 1.66
O 0.8960 0.5596 0.8750  1 Se 1.77
O 0.8960 0.9404 0.3750  1 Se 1.77
O 0.9401 0.7352 0.5924  1 Se 1.68
O 0.9401 0.7648 0.0924  1 Se 1.68
O 0.9536 0.0856 0.1349  1 Se 1.66
O 0.9536 0.4144 0.6349  1 Se 1.66

=====

Entry 2:
Computed, not measured: a relaxed structure of Th2Se2O at the PBE-GGA level of DFT.

Computed properties:
Its calculated formation energy is -4.3 eV/f.u. As for the total energy: -6.0731 eV per atom.

Cell lengths 3.8605, 3.8605, 11.8739 Å; angles 90.00, 90.00, 90.00 degrees
With the nearest neighbours (Å) after each atom.
Atoms (fractional coordinates):
Th 0.0000 0.0000 0.1786  1 O 2.12
Th 0.0000 0.0000 0.8214  1 O 2.12
Se 0.0000 0.0000 0.4025  1 Se 2.32
Se 0.0000 0.0000 0.5975  1 Se 2.32
O 0.0000 0.0000 0.0000  2 Th 2.12

=====

Entry 3:
Computed, not measured: a relaxed structure of TiSe2O6 at the PBE-GGA level of DFT.

Computed properties:
Its calculated formation energy is -17.8 eV/f.u. As for the total energy: -6.4705 eV per atom.

Cell lengths 4.8760, 8.4466, 7.0091 Å; angles 90.00, 111.67, 90.00 degrees
With the nearest neighbours (Å) after each atom.
Atoms (fractional coordinates):
Ti 0.0000 0.0000 0.0000  6 O 1.94-1.99
Ti 0.0000 0.5000 0.5000  6 O 1.94-1.99
Se 0.3597 0.1402 0.6795  3 O 1.72-1.74
Se 0.3597 0.3598 0.1795  3 O 1.72-1.74
Se 0.6403 0.6402 0.8205  3 O 1.72-1.74
Se 0.6403 0.8598 0.3205  3 O 1.72-1.74
O 0.1002 0.0513 0.7560  1 Se 1.72
O 0.1002 0.4487 0.2560  1 Se 1.72
O 0.2560 0.1619 0.1703  1 Se 1.74, 1 Ti 1.94
O 0.2560 0.3381 0.6703  1 Se 1.74, 1 Ti 1.94
O 0.3323 0.6532 0.5962  1 Se 1.73
O 0.3323 0.8468 0.0962  1 Se 1.73
O 0.6677 0.1532 0.9038  1 Se 1.73
O 0.6677 0.3468 0.4038  1 Se 1.73
O 0.7440 0.6619 0.3297  1 Se 1.74, 1 Ti 1.94
O 0.7440 0.8381 0.8297  1 Se 1.74, 1 Ti 1.94
O 0.8998 0.5513 0.7440  1 Se 1.72
O 0.8998 0.9487 0.2440  1 Se 1.72

=====

Entry 4:
Computed, not measured: a relaxed structure of Ti12Se16O3 at the PBE-GGA level of DFT.

Computed properties:
Its calculated formation energy is -38.4 eV/f.u. As for the total energy: -6.5119 eV per atom.

Cell lengths 10.8367, 10.8367, 9.9958 Å; angles 117.36, 117.36, 41.31 degrees
With the nearest neighbours (Å) after each atom.
Atoms (fractional coordinates):
Ti 0.0000 0.0000 0.0000  6 Se 2.56-2.73
Ti 0.2389 0.7750 0.7223  6 Se 2.56-2.73
Ti 0.3128 0.3128 0.7271  1 O 1.64
Ti 0.3205 0.8303 0.4967  6 Se 2.55-2.75
Ti 0.4171 0.9563 0.8675  6 Se 2.53-2.75
Ti 0.4306 0.4306 0.2248  6 Se 2.52-2.72
Ti 0.5920 0.5920 0.0961  1 O 1.64
Ti 0.7750 0.2389 0.7223  6 Se 2.56-2.73
Ti 0.8240 0.8240 0.8468  6 Se 2.55-2.70
Ti 0.8303 0.3205 0.4967  6 Se 2.55-2.75
Ti 0.8969 0.8969 0.2607  1 O 1.66
Ti 0.9563 0.4171 0.8675  6 Se 2.53-2.75
Se 0.0617 0.0617 0.3117  3 Ti 2.55-2.73
Se 0.0904 0.0904 0.6906  6 Ti 2.58-2.60
Se 0.1592 0.6736 0.0242  3 Ti 2.60-2.72
Se 0.2240 0.6498 0.4233  4 Ti 2.52-2.64, 1 O 2.74
Se 0.2810 0.2810 0.0324  3 Ti 2.53-2.68
Se 0.3061 0.9061 0.0078  4 Ti 2.52-2.64
Se 0.4538 0.4538 0.7912  3 Ti 2.56-2.61
Se 0.4975 0.9539 0.6606  4 Ti 2.57-2.67
Se 0.5713 0.5713 0.3240  4 Ti 2.51-2.58
Se 0.5914 0.5914 0.7043  6 Ti 2.73-2.75
Se 0.6498 0.2240 0.4233  4 Ti 2.52-2.64, 1 O 2.74
Se 0.6736 0.1592 0.0242  3 Ti 2.60-2.72
Se 0.7638 0.7638 0.0185  4 Ti 2.55-2.59
Se 0.9061 0.3061 0.0078  4 Ti 2.52-2.64
Se 0.9100 0.9100 0.7090  4 Ti 2.56-2.70
Se 0.9539 0.4975 0.6606  4 Ti 2.57-2.67
O 0.2930 0.2930 0.5471  1 Ti 1.64
O 0.6841 0.6841 0.2072  1 Ti 1.64
O 0.8446 0.8446 0.3463  1 Ti 1.66